La2CdP2O after structural relaxation, computed with GGA-PBE.

Structure (extended XYZ):
```
6
Lattice="-2.628 -0.606 -2.278 -0.104 -3.378 1.019 -9.889 3.469 10.485" Properties=species:S:1:pos:R:3 pbc="T T T"
Cd -1.366 -1.992 -0.629
La -7.720 0.236 6.108
La -4.902 -0.752 3.119
O -6.311 -0.258 4.613
P -9.647 0.913 8.151
P -2.974 -1.428 1.076
```

## Properties
total magnetic moment = 0.862 Bohr magnetons per cell
DFT formation energy = -0.354 eV/atom


La2CdSe2O2 after structural relaxation, computed with GGA-PBE.

Structure (extended XYZ):
```
14
Lattice="4.093 0.000 0.000 0.000 4.093 0.000 0.000 0.000 18.903" Properties=species:S:1:pos:R:3 pbc="T T T"
La 2.046 2.046 2.406
La 0.000 0.000 9.418
La 2.046 2.046 11.857
La 0.000 0.000 18.869
O 0.000 2.046 10.635
O 0.000 2.046 1.194
O 2.046 0.000 1.183
O 2.046 0.000 10.646
Se 0.000 0.000 13.651
Se 2.046 2.046 17.167
Se 2.046 2.046 7.716
Se 0.000 0.000 4.199
Cd 0.000 2.046 5.959
Cd 2.046 0.000 15.410
```

## Properties
total magnetic moment = 0.000 Bohr magnetons per cell
DFT formation energy = -2.601 eV/atom


What is the formula in the first record? La2CdP2O


total magnetic moment of number 2 (La2CdSe2O2)? 0.000 Bohr magnetons per cell